# Na10Hf6Zn2Si7S5O48 | the Materials Project | PBE-GGA | relaxed
# M_tot ... 0.00 μB per cell
# Energy ... -557.032 eV per formula unit
# Formation energy from the elements ... -2.799 eV/atom
data_Na10Hf6Zn2Si7S5O48
_chemical_formula_sum 'Na30 Hf18 Zn6 Si21 S15 O144'
_space_group_name_H-M_alt 'P 1'
_space_group_IT_number 1
_space_group_name_Hall 'P 1'
_cell_length_a 9.099
_cell_length_b 15.698
_cell_length_c 22.884
_cell_angle_alpha 90.10
_cell_angle_beta 90.06
_cell_angle_gamma 90.01
loop_
_atom_site_label
_atom_site_type_symbol
_atom_site_fract_x
_atom_site_fract_y
_atom_site_fract_z
_atom_site_occupancy
Na1 Na 0.000 0.000 0.000 1
Na2 Na 0.002 0.300 0.668 1
Na3 Na 0.002 0.660 0.664 1
Na4 Na 0.037 0.654 0.337 1
Na5 Na 0.169 0.487 0.418 1
Na6 Na 0.171 0.152 0.082 1
Na7 Na 0.173 0.476 0.920 1
Na8 Na 0.175 0.812 0.252 1
Na9 Na 0.176 0.138 0.586 1
Na10 Na 0.190 0.820 0.753 1
Na11 Na 0.297 0.658 0.830 1
Na12 Na 0.318 0.984 0.162 1
Na13 Na 0.347 0.955 0.834 1
Na14 Na 0.360 0.656 0.162 1
Na15 Na 0.494 0.156 0.661 1
Na16 Na 0.501 0.132 0.998 1
Na17 Na 0.508 0.458 0.329 1
Na18 Na 0.556 0.157 0.330 1
Na19 Na 0.671 0.317 0.251 1
Na20 Na 0.671 0.646 0.581 1
Na21 Na 0.672 0.978 0.917 1
Na22 Na 0.676 0.317 0.751 1
Na23 Na 0.680 0.637 0.086 1
Na24 Na 0.682 0.974 0.420 1
Na25 Na 0.821 0.154 0.835 1
Na26 Na 0.859 0.798 0.169 1
Na27 Na 0.868 0.461 0.835 1
Na28 Na 0.875 0.830 0.834 1
Na29 Na 0.983 0.331 0.334 1
Na30 Na 0.990 0.960 0.335 1
Hf1 Hf 0.162 0.152 0.936 1
Hf2 Hf 0.166 0.145 0.726 1
Hf3 Hf 0.171 0.151 0.434 1
Hf4 Hf 0.173 0.479 0.765 1
Hf5 Hf 0.176 0.154 0.228 1
Hf6 Hf 0.179 0.488 0.565 1
Hf7 Hf 0.181 0.483 0.265 1
Hf8 Hf 0.183 0.817 0.101 1
Hf9 Hf 0.189 0.814 0.600 1
Hf10 Hf 0.671 0.984 0.065 1
Hf11 Hf 0.673 0.316 0.603 1
Hf12 Hf 0.674 0.314 0.103 1
Hf13 Hf 0.674 0.650 0.728 1
Hf14 Hf 0.675 0.982 0.765 1
Hf15 Hf 0.684 0.650 0.933 1
Hf16 Hf 0.684 0.980 0.265 1
Hf17 Hf 0.691 0.643 0.227 1
Hf18 Hf 0.698 0.654 0.436 1
Zn1 Zn 0.156 0.808 0.405 1
Zn2 Zn 0.187 0.492 0.072 1
Zn3 Zn 0.190 0.819 0.892 1
Zn4 Zn 0.668 0.990 0.571 1
Zn5 Zn 0.677 0.315 0.391 1
Zn6 Zn 0.704 0.310 0.904 1
Si1 Si 0.028 0.001 0.832 1
Si2 Si 0.030 0.298 0.831 1
Si3 Si 0.032 0.626 0.162 1
Si4 Si 0.035 0.666 0.498 1
Si5 Si 0.322 0.337 0.664 1
Si6 Si 0.323 0.296 0.333 1
Si7 Si 0.327 0.629 0.667 1
Si8 Si 0.328 0.961 0.995 1
Si9 Si 0.383 0.980 0.664 1
Si10 Si 0.472 0.481 0.164 1
Si11 Si 0.532 0.130 0.167 1
Si12 Si 0.533 0.835 0.165 1
Si13 Si 0.534 0.795 0.832 1
Si14 Si 0.822 0.169 0.998 1
Si15 Si 0.824 0.125 0.662 1
Si16 Si 0.826 0.502 0.333 1
Si17 Si 0.827 0.797 0.331 1
Si18 Si 0.884 0.147 0.332 1
Si19 Si 0.884 0.483 0.664 1
Si20 Si 0.972 0.983 0.163 1
Si21 Si 0.973 0.648 0.831 1
S1 S 0.030 0.962 0.497 1
S2 S 0.032 0.337 0.163 1
S3 S 0.322 0.003 0.332 1
S4 S 0.326 0.666 0.996 1
S5 S 0.389 0.319 0.996 1
S6 S 0.389 0.650 0.331 1
S7 S 0.469 0.151 0.831 1
S8 S 0.470 0.817 0.495 1
S9 S 0.531 0.168 0.496 1
S10 S 0.531 0.461 0.496 1
S11 S 0.534 0.503 0.833 1
S12 S 0.825 0.836 0.663 1
S13 S 0.826 0.462 0.997 1
S14 S 0.884 0.813 0.998 1
S15 S 0.970 0.315 0.497 1
O1 O 0.003 0.158 0.996 1
O2 O 0.006 0.496 0.325 1
O3 O 0.007 0.808 0.334 1
O4 O 0.050 0.568 0.106 1
O5 O 0.056 0.062 0.891 1
O6 O 0.060 0.238 0.773 1
O7 O 0.060 0.388 0.218 1
O8 O 0.063 0.916 0.442 1
O9 O 0.064 0.235 0.494 1
O10 O 0.069 0.389 0.504 1
O11 O 0.069 0.727 0.556 1
O12 O 0.071 0.733 0.839 1
O13 O 0.072 0.895 0.157 1
O14 O 0.077 0.563 0.827 1
O15 O 0.085 0.063 0.172 1
O16 O 0.095 0.907 0.835 1
O17 O 0.096 0.250 0.171 1
O18 O 0.096 0.374 0.111 1
O19 O 0.098 0.918 0.548 1
O20 O 0.099 0.702 0.437 1
O21 O 0.101 0.249 0.887 1
O22 O 0.103 0.393 0.828 1
O23 O 0.105 0.049 0.494 1
O24 O 0.105 0.570 0.504 1
O25 O 0.109 0.050 0.778 1
O26 O 0.109 0.586 0.222 1
O27 O 0.110 0.721 0.156 1
O28 O 0.241 0.380 0.608 1
O29 O 0.242 0.389 0.327 1
O30 O 0.242 0.721 0.658 1
O31 O 0.243 0.247 0.388 1
O32 O 0.248 0.918 0.053 1
O33 O 0.249 0.588 0.725 1
O34 O 0.254 0.241 0.672 1
O35 O 0.255 0.920 0.339 1
O36 O 0.257 0.043 0.279 1
O37 O 0.258 0.060 0.991 1
O38 O 0.262 0.581 0.001 1
O39 O 0.266 0.708 0.944 1
O40 O 0.274 0.898 0.657 1
O41 O 0.287 0.390 0.004 1
O42 O 0.288 0.069 0.674 1
O43 O 0.291 0.724 0.335 1
O44 O 0.292 0.233 0.277 1
O45 O 0.293 0.060 0.384 1
O46 O 0.294 0.569 0.610 1
O47 O 0.294 0.570 0.327 1
O48 O 0.294 0.908 0.937 1
O49 O 0.296 0.719 0.050 1
O50 O 0.298 0.397 0.721 1
O51 O 0.305 0.235 0.992 1
O52 O 0.352 0.135 0.173 1
O53 O 0.355 0.825 0.156 1
O54 O 0.358 0.803 0.833 1
O55 O 0.366 0.161 0.492 1
O56 O 0.369 0.468 0.504 1
O57 O 0.371 0.466 0.224 1
O58 O 0.372 0.500 0.827 1
O59 O 0.372 0.501 0.109 1
O60 O 0.374 0.806 0.549 1
O61 O 0.377 0.158 0.778 1
O62 O 0.377 0.829 0.444 1
O63 O 0.378 0.137 0.884 1
O64 O 0.478 0.658 0.277 1
O65 O 0.481 0.330 0.944 1
O66 O 0.483 0.002 0.609 1
O67 O 0.483 0.636 0.383 1
O68 O 0.485 0.000 0.328 1
O69 O 0.485 0.966 0.724 1
O70 O 0.486 0.305 0.049 1
O71 O 0.491 0.659 0.992 1
O72 O 0.499 0.305 0.337 1
O73 O 0.500 0.322 0.655 1
O74 O 0.504 0.640 0.672 1
O75 O 0.506 0.975 0.003 1
O76 O 0.552 0.899 0.221 1
O77 O 0.556 0.069 0.110 1
O78 O 0.556 0.735 0.492 1
O79 O 0.559 0.412 0.443 1
O80 O 0.561 0.221 0.550 1
O81 O 0.562 0.070 0.827 1
O82 O 0.562 0.558 0.885 1
O83 O 0.566 0.224 0.835 1
O84 O 0.567 0.569 0.174 1
O85 O 0.570 0.889 0.503 1
O86 O 0.571 0.733 0.777 1
O87 O 0.582 0.399 0.157 1
O88 O 0.590 0.211 0.444 1
O89 O 0.595 0.548 0.493 1
O90 O 0.596 0.083 0.500 1
O91 O 0.598 0.417 0.548 1
O92 O 0.600 0.086 0.226 1
O93 O 0.601 0.419 0.839 1
O94 O 0.601 0.544 0.780 1
O95 O 0.602 0.740 0.173 1
O96 O 0.606 0.224 0.158 1
O97 O 0.612 0.747 0.888 1
O98 O 0.614 0.879 0.110 1
O99 O 0.614 0.889 0.827 1
O100 O 0.742 0.200 0.938 1
O101 O 0.746 0.087 0.722 1
O102 O 0.746 0.221 0.654 1
O103 O 0.746 0.546 0.277 1
O104 O 0.752 0.549 0.994 1
O105 O 0.752 0.892 0.327 1
O106 O 0.755 0.408 0.338 1
O107 O 0.755 0.749 0.388 1
O108 O 0.756 0.071 0.005 1
O109 O 0.759 0.419 0.048 1
O110 O 0.760 0.873 0.612 1
O111 O 0.763 0.748 0.672 1
O112 O 0.780 0.062 0.327 1
O113 O 0.783 0.231 0.052 1
O114 O 0.786 0.232 0.337 1
O115 O 0.787 0.396 0.654 1
O116 O 0.787 0.570 0.671 1
O117 O 0.788 0.735 0.995 1
O118 O 0.792 0.890 0.004 1
O119 O 0.793 0.416 0.942 1
O120 O 0.794 0.565 0.389 1
O121 O 0.796 0.737 0.273 1
O122 O 0.796 0.887 0.718 1
O123 O 0.803 0.067 0.606 1
O124 O 0.848 0.997 0.825 1
O125 O 0.849 0.308 0.835 1
O126 O 0.851 0.660 0.497 1
O127 O 0.856 0.645 0.170 1
O128 O 0.857 0.629 0.886 1
O129 O 0.867 0.660 0.774 1
O130 O 0.869 0.329 0.159 1
O131 O 0.869 0.964 0.220 1
O132 O 0.871 0.971 0.503 1
O133 O 0.873 0.995 0.104 1
O134 O 0.877 0.304 0.551 1
O135 O 0.883 0.324 0.445 1
O136 O 0.972 0.824 0.945 1
O137 O 0.976 0.801 0.051 1
O138 O 0.982 0.462 0.723 1
O139 O 0.985 0.471 0.002 1
O140 O 0.988 0.826 0.660 1
O141 O 0.994 0.500 0.610 1
O142 O 0.996 0.129 0.388 1
O143 O 0.996 0.160 0.277 1
O144 O 0.999 0.145 0.670 1

***

# Mg2Si | the Materials Project | PBE-GGA | relaxed
# M_tot ... 0.00 μB per cell
# Energy ... -8.650 eV per formula unit
# Formation energy from the elements ... 0.015 eV/atom
data_Mg2Si
_chemical_formula_sum 'Mg8 Si4'
_space_group_name_H-M_alt 'P -1'
_space_group_IT_number 2
_space_group_name_Hall '-P 1'
_cell_length_a 5.203
_cell_length_b 5.507
_cell_length_c 8.462
_cell_angle_alpha 81.22
_cell_angle_beta 81.50
_cell_angle_gamma 86.76
loop_
_atom_site_label
_atom_site_type_symbol
_atom_site_fract_x
_atom_site_fract_y
_atom_site_fract_z
_atom_site_occupancy
Mg1 Mg 0.165 0.237 0.008 1
Mg2 Mg 0.219 0.553 0.611 1
Mg3 Mg 0.289 0.128 0.389 1
Mg4 Mg 0.316 0.681 0.221 1
Si1 Si 0.158 0.042 0.716 1
Si2 Si 0.364 0.722 0.891 1

***

# Zr6Co16Si7 | the Materials Project | PBE-GGA | relaxed
# Energy ... -222.357 eV per formula unit
# Formation energy from the elements ... -0.650 eV/atom
data_Zr6Co16Si7
_chemical_formula_sum 'Zr24 Co64 Si28'
_space_group_name_H-M_alt 'F m -3 m'
_space_group_IT_number 225
_space_group_name_Hall '-F 4 2 3'
_cell_length_a 11.430
_cell_length_b 11.430
_cell_length_c 11.430
_cell_angle_alpha 90.00
_cell_angle_beta 90.00
_cell_angle_gamma 90.00
loop_
_atom_site_label
_atom_site_type_symbol
_atom_site_fract_x
_atom_site_fract_y
_atom_site_fract_z
_atom_site_occupancy
Zr1 Zr 0.000 0.000 0.207 1
Co1 Co 0.120 0.120 0.380 1
Co2 Co 0.173 0.173 0.173 1
Si1 Si 0.000 0.000 0.500 1
Si2 Si 0.000 0.250 0.250 1